No. 1
An optimized crystal structure of Li3GaF6, computed with GGA-PBE.

a = 8.5069 Å, b = 8.5069 Å, c = 10.1859 Å
α = 94.21°, β = 94.21°, γ = 61.64°
Last column: nearest neighbours and their distance in Å.
Element x y z (fractional)
Li1 0.0074 0.7128 0.2298  4 F 1.93-2.02
Li2 0.0614 0.3444 0.4312  4 F 1.88-1.92
Li3 0.1228 0.5409 0.9476  4 F 1.93-2.04
Li4 0.1882 0.8118 0.7500  6 F 2.02-2.13
Li5 0.2872 0.9926 0.2702  4 F 1.93-2.02
Li6 0.3257 0.6289 0.4617  4 F 1.89-2.10
Li7 0.3444 0.0614 0.9312  4 F 1.88-1.92
Li8 0.3711 0.6743 0.0383  4 F 1.89-2.10
Li9 0.4591 0.8772 0.5524  4 F 1.93-2.04
Li10 0.5409 0.1228 0.4476  4 F 1.93-2.04
Li11 0.6289 0.3257 0.9617  4 F 1.89-2.10
Li12 0.6556 0.9386 0.0688  4 F 1.88-1.92
Li13 0.6743 0.3711 0.5383  4 F 1.89-2.10
Li14 0.7128 0.0074 0.7298  4 F 1.93-2.02
Li15 0.8118 0.1882 0.2500  6 F 2.02-2.13
Li16 0.8772 0.4591 0.0524  4 F 1.93-2.04
Li17 0.9386 0.6556 0.5688  4 F 1.88-1.92
Li18 0.9926 0.2872 0.7702  4 F 1.93-2.02
Ga1 0.0000 0.0000 0.0000  6 F 1.90-1.94
Ga2 0.0000 0.0000 0.5000  6 F 1.90-1.94
Ga3 0.3347 0.3409 0.7037  6 F 1.91-1.96
Ga4 0.3409 0.3347 0.2037  6 F 1.91-1.96
Ga5 0.6591 0.6653 0.7963  6 F 1.91-1.96
Ga6 0.6653 0.6591 0.2963  6 F 1.91-1.96
F1 0.0657 0.0762 0.1647  1 Ga 1.90, 1 Li 1.94
F2 0.0762 0.0657 0.6647  1 Ga 1.90, 1 Li 1.94
F3 0.0869 0.7611 0.0619  1 Ga 1.94, 2 Li 2.02-2.04
F4 0.0901 0.7634 0.5656  3 Li 1.91-2.10, 1 Ga 1.93
F5 0.1091 0.4158 0.6061  2 Li 1.91-1.92, 1 Ga 1.93
F6 0.1110 0.4292 0.1102  1 Ga 1.93, 2 Li 1.93-2.00
F7 0.2263 0.2693 0.8352  2 Li 1.88-1.99, 1 Ga 1.96
F8 0.2366 0.9099 0.9344  3 Li 1.91-2.10, 1 Ga 1.93
F9 0.2389 0.9131 0.4381  1 Ga 1.94, 2 Li 2.02-2.04
F10 0.2406 0.5556 0.3055  2 Li 1.89-1.93, 1 Ga 1.91
F11 0.2456 0.5651 0.8019  1 Ga 1.92, 2 Li 1.95-2.02
F12 0.2693 0.2263 0.3352  2 Li 1.88-1.99, 1 Ga 1.96
F13 0.4142 0.4289 0.0680  1 Ga 1.93, 2 Li 1.98
F14 0.4158 0.1091 0.1061  2 Li 1.91-1.92, 1 Ga 1.93
F15 0.4292 0.1110 0.6102  1 Ga 1.93, 2 Li 1.93-2.00
F16 0.4289 0.4142 0.5680  1 Ga 1.93, 2 Li 1.98
F17 0.4349 0.7544 0.6981  1 Ga 1.92, 2 Li 1.95-2.02
F18 0.4444 0.7594 0.1945  2 Li 1.89-1.93, 1 Ga 1.91
F19 0.5556 0.2406 0.8055  2 Li 1.89-1.93, 1 Ga 1.91
F20 0.5651 0.2456 0.3019  1 Ga 1.92, 2 Li 1.95-2.02
F21 0.5711 0.5858 0.4320  1 Ga 1.93, 2 Li 1.98
F22 0.5708 0.8890 0.3898  1 Ga 1.93, 2 Li 1.93-2.00
F23 0.5842 0.8909 0.8939  2 Li 1.91-1.92, 1 Ga 1.93
F24 0.5858 0.5711 0.9320  1 Ga 1.93, 2 Li 1.98
F25 0.7307 0.7737 0.6648  2 Li 1.88-1.99, 1 Ga 1.96
F26 0.7544 0.4349 0.1981  1 Ga 1.92, 2 Li 1.95-2.02
F27 0.7594 0.4444 0.6945  2 Li 1.89-1.93, 1 Ga 1.91
F28 0.7611 0.0869 0.5619  1 Ga 1.94, 2 Li 2.02-2.04
F29 0.7634 0.0901 0.0656  3 Li 1.91-2.10, 1 Ga 1.93
F30 0.7737 0.7307 0.1648  2 Li 1.88-1.99, 1 Ga 1.96
F31 0.8890 0.5708 0.8898  1 Ga 1.93, 2 Li 1.93-2.00
F32 0.8909 0.5842 0.3939  2 Li 1.91-1.92, 1 Ga 1.93
F33 0.9099 0.2366 0.4344  3 Li 1.91-2.10, 1 Ga 1.93
F34 0.9131 0.2389 0.9381  1 Ga 1.94, 2 Li 2.02-2.04
F35 0.9238 0.9343 0.3353  1 Ga 1.90, 1 Li 1.94
F36 0.9343 0.9238 0.8353  1 Ga 1.90, 1 Li 1.94

Computed properties:
Excess energy over the best structure of this formula in the dataset in meV/atom: 0.0
Space group: C2/c
Energy of formation from the pure elements in meV/atom: -3115

No. 2
An optimized crystal structure of Na2LiGaF6, computed with GGA-PBE.

a = 5.5259 Å, b = 5.5259 Å, c = 5.5259 Å
α = 60.00°, β = 60.00°, γ = 60.00°
Last column: nearest neighbours and their distance in Å.
Element x y z (fractional)
Na1 0.2500 0.2500 0.2500  12 F 2.76
Na2 0.7500 0.7500 0.7500  12 F 2.76
Li1 0.0000 0.0000 0.0000  6 F 2.00
Ga1 0.5000 0.5000 0.5000  6 F 1.91
F1 0.2558 0.2558 0.7442  1 Ga 1.91, 1 Li 2.00
F2 0.2558 0.7442 0.2558  1 Ga 1.91, 1 Li 2.00
F3 0.2558 0.7442 0.7442  1 Ga 1.91, 1 Li 2.00
F4 0.7442 0.2558 0.2558  1 Ga 1.91, 1 Li 2.00
F5 0.7442 0.2558 0.7442  1 Ga 1.91, 1 Li 2.00
F6 0.7442 0.7442 0.2558  1 Ga 1.91, 1 Li 2.00

Computed properties:
Space group: Fm-3m
Energy of formation from the pure elements in meV/atom: -3019
M_tot in μB per formula unit: 0.00

No. 3
An optimized crystal structure of LiGaPO4F, computed with GGA-PBE.

a = 5.1674 Å, b = 5.2877 Å, c = 7.2555 Å
α = 107.10°, β = 108.76°, γ = 98.39°
Last column: nearest neighbours and their distance in Å.
Element x y z (fractional)
Li1 0.2175 0.3715 0.2826  1 F 1.91, 1 O 2.00
Li2 0.7825 0.6285 0.7174  1 F 1.91, 1 O 2.00
Ga1 0.5000 0.0000 0.0000  4 O 1.96, 2 F 1.98
Ga2 0.5000 0.0000 0.5000  4 O 1.93-1.98, 2 F 1.97
P1 0.1776 0.3514 0.7387  4 O 1.53-1.57
P2 0.8224 0.6486 0.2613  4 O 1.53-1.57
O1 0.1329 0.7608 0.4235  1 P 1.55
O2 0.1955 0.6586 0.8463  1 P 1.56
O3 0.2370 0.2039 0.8951  1 P 1.53
O4 0.3868 0.3322 0.6219  1 P 1.57
O5 0.6132 0.6678 0.3781  1 P 1.57
O6 0.7630 0.7961 0.1049  1 P 1.53
O7 0.8045 0.3414 0.1537  1 P 1.56
O8 0.8671 0.2392 0.5765  1 P 1.55
F1 0.3692 0.0610 0.2333  1 Li 1.91, 2 Ga 1.97-1.98
F2 0.6308 0.9390 0.7667  1 Li 1.91, 2 Ga 1.97-1.98

Computed properties:
Space group: P-1
Energy of formation from the pure elements in meV/atom: -2704
M_tot in μB per formula unit: 0.00